No. 1
# Li4Fe3Cu3Sb2O16 (PBE+U, optimized geometry)
data_Li4Fe3Cu3Sb2O16
_chemical_formula_sum 'Li8 Fe6 Cu6 Sb4 O32'
_space_group_name_H-M_alt 'C 1 m 1'
_space_group_IT_number 8
_space_group_name_Hall 'C -2y'
_cell_length_a 10.3689
_cell_length_b 5.9608
_cell_length_c 9.7372
_cell_angle_alpha 90.00
_cell_angle_beta 90.46
_cell_angle_gamma 90.00
loop_
_atom_site_label
_atom_site_type_symbol
_atom_site_fract_x
_atom_site_fract_y
_atom_site_fract_z
Li1 Li 0.0000 0.0000 0.0000
Li2 Li 0.0051 0.0000 0.5030
Li3 Li 0.1687 0.5000 0.9164
Li4 Li 0.3441 0.0000 0.4185
Fe1 Fe 0.0897 0.2546 0.2264
Fe2 Fe 0.1745 0.0000 0.7258
Cu1 Cu 0.3338 0.5000 0.2247
Cu2 Cu 0.4179 0.2459 0.7259
Sb1 Sb 0.1745 0.5000 0.4995
Sb2 Sb 0.3354 0.0000 0.9990
O1 O 0.0010 0.0000 0.3139
O2 O 0.0005 0.0000 0.8102
O3 O 0.0246 0.5000 0.3598
O4 O 0.0944 0.2471 0.6057
O5 O 0.1706 0.0000 0.1090
O6 O 0.1719 0.5000 0.1211
O7 O 0.2469 0.2735 0.3592
O8 O 0.2570 0.2228 0.8621
O9 O 0.3414 0.0000 0.6258
O10 O 0.3434 0.5000 0.6056
O11 O 0.4236 0.2482 0.1054
O12 O 0.4836 0.0000 0.8572
# Formation energy from the elements ... -1.669 eV/atom
# E (MP2020) ... -6.4107 eV per atom



No. 2
# Li4Fe2Cu3Te3O16 (PBE+U, optimized geometry)
data_Li4Fe2Cu3Te3O16
_chemical_formula_sum 'Li4 Fe2 Cu3 Te3 O16'
_space_group_name_H-M_alt 'P 1'
_space_group_IT_number 1
_space_group_name_Hall 'P 1'
_cell_length_a 6.1133
_cell_length_b 6.2801
_cell_length_c 9.7000
_cell_angle_alpha 92.18
_cell_angle_beta 90.62
_cell_angle_gamma 118.81
loop_
_atom_site_label
_atom_site_type_symbol
_atom_site_fract_x
_atom_site_fract_y
_atom_site_fract_z
Li1 Li 0.0000 0.0000 0.0000
Li2 Li 0.0306 0.0454 0.5301
Li3 Li 0.3536 0.6858 0.6281
Li4 Li 0.6904 0.3419 0.1060
Fe1 Fe 0.3229 0.6149 0.0033
Fe2 Fe 0.6388 0.2932 0.5363
Cu1 Cu 0.1893 0.3333 0.2986
Cu2 Cu 0.3407 0.1562 0.8007
Cu3 Cu 0.8353 0.1566 0.7982
Te1 Te 0.1683 0.8182 0.2911
Te2 Te 0.6705 0.8343 0.2937
Te3 Te 0.8318 0.6419 0.7921
O1 O 0.0534 0.5064 0.1731
O2 O 0.1297 0.7735 0.9186
O3 O 0.1658 0.3047 0.9136
O4 O 0.3385 0.1890 0.4229
O5 O 0.3827 0.7014 0.4142
O6 O 0.5062 0.5307 0.1782
O7 O 0.5109 0.9581 0.1637
O8 O 0.5281 0.0453 0.6722
O9 O 0.5479 0.5109 0.6624
O10 O 0.6636 0.7719 0.9153
O11 O 0.6819 0.3363 0.8948
O12 O 0.8289 0.1421 0.4075
O13 O 0.8370 0.6992 0.4087
O14 O 0.9683 0.9731 0.1848
O15 O 0.9738 0.5106 0.6545
O16 O 0.9935 0.9701 0.7148
# Formation energy from the elements ... -1.515 eV/atom
# E (MP2020) ... -5.9963 eV per atom



No. 3
# Li4Ti3Fe2Cu3O16 (PBE+U, optimized geometry)
data_Li4Ti3Fe2Cu3O16
_chemical_formula_sum 'Li8 Ti6 Fe4 Cu6 O32'
_space_group_name_H-M_alt 'C 1 m 1'
_space_group_IT_number 8
_space_group_name_Hall 'C -2y'
_cell_length_a 10.1948
_cell_length_b 5.8876
_cell_length_c 9.6249
_cell_angle_alpha 90.00
_cell_angle_beta 91.16
_cell_angle_gamma 90.00
loop_
_atom_site_label
_atom_site_type_symbol
_atom_site_fract_x
_atom_site_fract_y
_atom_site_fract_z
Li1 Li 0.0000 0.0000 0.0000
Li2 Li 0.0099 0.0000 0.5057
Li3 Li 0.1770 0.5000 0.9064
Li4 Li 0.3494 0.0000 0.4080
Ti1 Ti 0.0995 0.2528 0.2265
Ti2 Ti 0.1860 0.0000 0.7309
Fe1 Fe 0.1792 0.5000 0.5041
Fe2 Fe 0.3463 0.0000 0.0012
Cu1 Cu 0.3406 0.5000 0.2197
Cu2 Cu 0.4278 0.2444 0.7193
O1 O 0.0080 0.0000 0.8108
O2 O 0.0102 0.0000 0.3174
O3 O 0.0286 0.5000 0.3422
O4 O 0.0993 0.2442 0.6070
O5 O 0.1693 0.5000 0.1119
O6 O 0.1744 0.0000 0.1137
O7 O 0.2483 0.2726 0.3528
O8 O 0.2628 0.2206 0.8539
O9 O 0.3445 0.0000 0.6145
O10 O 0.3500 0.5000 0.6086
O11 O 0.4309 0.2521 0.1068
O12 O 0.4905 0.0000 0.8445
# Formation energy from the elements ... -2.120 eV/atom
# E (MP2020) ... -7.1107 eV per atom



No. 4
# Li4Ti2Fe3Cu3O16 (PBE+U, optimized geometry)
data_Li4Ti2Fe3Cu3O16
_chemical_formula_sum 'Li8 Ti4 Fe6 Cu6 O32'
_space_group_name_H-M_alt 'C 1 m 1'
_space_group_IT_number 8
_space_group_name_Hall 'C -2y'
_cell_length_a 10.2502
_cell_length_b 5.9320
_cell_length_c 9.5628
_cell_angle_alpha 90.00
_cell_angle_beta 90.53
_cell_angle_gamma 90.00
loop_
_atom_site_label
_atom_site_type_symbol
_atom_site_fract_x
_atom_site_fract_y
_atom_site_fract_z
Li1 Li 0.0000 0.0000 0.0000
Li2 Li 0.0035 0.0000 0.5048
Li3 Li 0.1705 0.5000 0.9042
Li4 Li 0.3406 0.0000 0.4066
Ti1 Ti 0.1668 0.5000 0.5050
Ti2 Ti 0.3334 0.0000 0.0068
Fe1 Fe 0.0883 0.2561 0.2253
Fe2 Fe 0.1742 0.0000 0.7256
Cu1 Cu 0.3335 0.5000 0.2217
Cu2 Cu 0.4159 0.2452 0.7233
O1 O 0.0232 0.5000 0.3533
O2 O 0.0943 0.2497 0.6013
O3 O 0.1724 0.0000 0.1021
O4 O 0.1762 0.5000 0.1159
O5 O 0.2454 0.2783 0.3522
O6 O 0.2618 0.2216 0.8545
O7 O 0.3399 0.5000 0.6024
O8 O 0.3419 0.0000 0.6190
O9 O 0.4226 0.2479 0.1010
O10 O 0.4810 0.0000 0.8513
O11 O 0.4962 0.5000 0.3140
O12 O 0.4975 0.5000 0.8099
# Formation energy from the elements ... -1.899 eV/atom
# E (MP2020) ... -6.9095 eV per atom



No. 5
# LiV3Fe2CuO12 (PBE+U, optimized geometry)
data_LiV3Fe2CuO12
_chemical_formula_sum 'Li2 V6 Fe4 Cu2 O24'
_space_group_name_H-M_alt 'P 1'
_space_group_IT_number 1
_space_group_name_Hall 'P 1'
_cell_length_a 6.7152
_cell_length_b 8.2391
_cell_length_c 9.9651
_cell_angle_alpha 107.06
_cell_angle_beta 103.50
_cell_angle_gamma 102.47
loop_
_atom_site_label
_atom_site_type_symbol
_atom_site_fract_x
_atom_site_fract_y
_atom_site_fract_z
Li1 Li 0.0000 0.0000 0.0000
Li2 Li 0.4561 0.0542 0.0973
V1 V 0.1738 0.8804 0.3109
V2 V 0.2812 0.4351 0.2378
V3 V 0.5162 0.6459 0.9126
V4 V 0.6204 0.2061 0.8412
V5 V 0.8086 0.2713 0.4524
V6 V 0.9858 0.8135 0.7003
Fe1 Fe 0.0203 0.5956 0.9707
Fe2 Fe 0.3551 0.3389 0.5631
Fe3 Fe 0.4437 0.7470 0.5896
Fe4 Fe 0.7770 0.4877 0.1836
Cu1 Cu 0.1199 0.2577 0.7824
Cu2 Cu 0.6671 0.8229 0.3618
O1 O 0.0598 0.3140 0.5863
O2 O 0.0679 0.5099 0.1539
O3 O 0.0757 0.0368 0.8192
O4 O 0.1651 0.8492 0.1256
O5 O 0.1683 0.7613 0.6130
O6 O 0.2162 0.0991 0.3990
O7 O 0.2336 0.2171 0.1459
O8 O 0.2734 0.5356 0.9294
O9 O 0.3169 0.4807 0.4291
O10 O 0.3936 0.8220 0.4091
O11 O 0.3975 0.2589 0.7415
O12 O 0.4781 0.6010 0.7202
O13 O 0.5230 0.5530 0.2249
O14 O 0.5754 0.8643 0.0002
O15 O 0.5851 0.9867 0.7564
O16 O 0.6222 0.2417 0.0240
O17 O 0.6331 0.3286 0.5458
O18 O 0.7022 0.0489 0.3383
O19 O 0.7301 0.5726 0.9991
O20 O 0.7371 0.7687 0.5662
O21 O 0.8316 0.3911 0.3359
O22 O 0.8784 0.3211 0.8406
O23 O 0.9178 0.7657 0.3122
O24 O 0.9579 0.7055 0.8248
# Formation energy from the elements ... -2.038 eV/atom
# E (MP2020) ... -7.8054 eV per atom



No. 6
# Li4V2Fe3Cu3O16 (PBE+U, optimized geometry)
data_Li4V2Fe3Cu3O16
_chemical_formula_sum 'Li4 V2 Fe3 Cu3 O16'
_space_group_name_H-M_alt 'P 1'
_space_group_IT_number 1
_space_group_name_Hall 'P 1'
_cell_length_a 5.9048
_cell_length_b 5.9077
_cell_length_c 9.5387
_cell_angle_alpha 89.75
_cell_angle_beta 89.93
_cell_angle_gamma 60.21
loop_
_atom_site_label
_atom_site_type_symbol
_atom_site_fract_x
_atom_site_fract_y
_atom_site_fract_z
Li1 Li 0.0000 0.0000 0.0000
Li2 Li 0.0080 0.9969 0.4960
Li3 Li 0.3546 0.3216 0.0854
Li4 Li 0.6898 0.6566 0.5850
V1 V 0.3463 0.3263 0.4909
V2 V 0.6802 0.6598 0.9899
Fe1 Fe 0.1870 0.1649 0.7694
Fe2 Fe 0.1872 0.6492 0.7688
Fe3 Fe 0.3568 0.8225 0.2673
Cu1 Cu 0.6653 0.1692 0.7733
Cu2 Cu 0.8359 0.3395 0.2732
Cu3 Cu 0.8395 0.8241 0.2767
O1 O 0.0001 0.9964 0.1928
O2 O 0.0065 0.9975 0.6882
O3 O 0.0546 0.4733 0.6390
O4 O 0.1952 0.1622 0.4009
O5 O 0.1946 0.6470 0.4013
O6 O 0.3432 0.3290 0.8823
O7 O 0.3572 0.8213 0.9012
O8 O 0.4933 0.4754 0.6401
O9 O 0.4936 0.0345 0.6402
O10 O 0.5284 0.9539 0.1384
O11 O 0.5298 0.5167 0.1387
O12 O 0.6615 0.1743 0.4042
O13 O 0.6862 0.6614 0.3773
O14 O 0.8413 0.3440 0.9009
O15 O 0.8418 0.8141 0.9016
O16 O 0.9656 0.5131 0.1384
# Formation energy from the elements ... -1.723 eV/atom
# E (MP2020) ... -6.8191 eV per atom



No. 7
# Li3V6Fe4Cu2O24 (PBE+U, optimized geometry)
data_Li3V6Fe4Cu2O24
_chemical_formula_sum 'Li3 V6 Fe4 Cu2 O24'
_space_group_name_H-M_alt 'P -1'
_space_group_IT_number 2
_space_group_name_Hall '-P 1'
_cell_length_a 6.7700
_cell_length_b 8.1983
_cell_length_c 9.9777
_cell_angle_alpha 106.70
_cell_angle_beta 104.28
_cell_angle_gamma 103.08
loop_
_atom_site_label
_atom_site_type_symbol
_atom_site_fract_x
_atom_site_fract_y
_atom_site_fract_z
Li1 Li 0.0000 0.0000 0.0000
Li2 Li 0.3952 0.0575 0.0996
V1 V 0.1217 0.6106 0.8403
V2 V 0.2216 0.1615 0.7664
V3 V 0.4083 0.2321 0.3798
Fe1 Fe 0.0447 0.7039 0.5110
Fe2 Fe 0.3783 0.4496 0.1070
Cu1 Cu 0.2829 0.7856 0.2980
O1 O 0.0052 0.2152 0.6651
O2 O 0.0818 0.5615 0.6475
O3 O 0.1203 0.4993 0.1460
O4 O 0.1870 0.9415 0.6795
O5 O 0.1949 0.8350 0.9347
O6 O 0.2317 0.1918 0.9537
O7 O 0.2316 0.2868 0.4681
O8 O 0.3093 0.0081 0.2596
O9 O 0.3285 0.5305 0.9232
O10 O 0.3389 0.7251 0.4882
O11 O 0.4361 0.3367 0.2519
O12 O 0.4762 0.2802 0.7667
# Formation energy from the elements ... -2.048 eV/atom
# E (MP2020) ... -7.7164 eV per atom
# Polymorph energy (0 for the lowest one) ... 0.000 eV per atom



No. 8
# Li4Fe3Cu3W2O16 (PBE+U, optimized geometry)
data_Li4Fe3Cu3W2O16
_chemical_formula_sum 'Li8 Fe6 Cu6 W4 O32'
_space_group_name_H-M_alt 'C 1 m 1'
_space_group_IT_number 8
_space_group_name_Hall 'C -2y'
_cell_length_a 10.4618
_cell_length_b 5.9165
_cell_length_c 9.9076
_cell_angle_alpha 90.00
_cell_angle_beta 93.55
_cell_angle_gamma 90.00
loop_
_atom_site_label
_atom_site_type_symbol
_atom_site_fract_x
_atom_site_fract_y
_atom_site_fract_z
Li1 Li 0.0000 0.0000 0.0000
Li2 Li 0.0017 0.0000 0.5034
Li3 Li 0.1576 0.5000 0.9302
Li4 Li 0.3387 0.0000 0.4307
Fe1 Fe 0.0905 0.2541 0.2339
Fe2 Fe 0.1714 0.0000 0.7342
Cu1 Cu 0.3342 0.5000 0.2262
Cu2 Cu 0.4165 0.2452 0.7300
W1 W 0.1753 0.5000 0.5037
W2 W 0.3248 0.0000 0.0061
O1 O 0.9996 0.0000 0.8113
O2 O 0.0010 0.0000 0.3148
O3 O 0.0240 0.5000 0.3627
O4 O 0.1056 0.2544 0.6001
O5 O 0.1689 0.5000 0.1321
O6 O 0.1776 0.0000 0.1207
O7 O 0.2423 0.2749 0.3726
O8 O 0.2427 0.2179 0.8814
O9 O 0.3355 0.0000 0.6374
O10 O 0.3423 0.5000 0.6062
O11 O 0.4239 0.2379 0.0993
O12 O 0.4696 0.0000 0.8644
# Formation energy from the elements ... -1.784 eV/atom
# E (MP2020) ... -7.1564 eV per atom



No. 9
# LuFeCuO4 (PBE+U, optimized geometry)
data_LuFeCuO4
_chemical_formula_sum 'Lu3 Fe3 Cu3 O12'
_space_group_name_H-M_alt 'R 3 m'
_space_group_IT_number 160
_space_group_name_Hall 'R 3 -2"'
_cell_length_a 3.5062
_cell_length_b 3.5062
_cell_length_c 24.1021
_cell_angle_alpha 90.00
_cell_angle_beta 90.00
_cell_angle_gamma 120.00
loop_
_atom_site_label
_atom_site_type_symbol
_atom_site_fract_x
_atom_site_fract_y
_atom_site_fract_z
Lu1 Lu 0.0000 0.0000 0.0000
Fe1 Fe 0.0000 0.0000 0.2078
Cu1 Cu 0.0000 0.0000 0.7836
O1 O 0.0000 0.0000 0.1247
O2 O 0.0000 0.0000 0.2881
O3 O 0.0000 0.0000 0.7029
O4 O 0.0000 0.0000 0.8698
# Formation energy from the elements ... -2.251 eV/atom
# E (MP2020) ... -7.5194 eV per atom



No. 10
# MgFeCuO2 (PBE+U, optimized geometry)
data_MgFeCuO2
_chemical_formula_sum 'Mg1 Fe1 Cu1 O2'
_space_group_name_H-M_alt 'P 1'
_space_group_IT_number 1
_space_group_name_Hall 'P 1'
_cell_length_a 3.1364
_cell_length_b 3.1403
_cell_length_c 7.7277
_cell_angle_alpha 100.47
_cell_angle_beta 91.59
_cell_angle_gamma 118.79
loop_
_atom_site_label
_atom_site_type_symbol
_atom_site_fract_x
_atom_site_fract_y
_atom_site_fract_z
Mg1 Mg 0.0000 0.0000 0.0000
Fe1 Fe 0.7734 0.5616 0.3305
Cu1 Cu 0.2340 0.4650 0.6946
O1 O 0.1459 0.2997 0.4409
O2 O 0.3797 0.7331 0.1145
# Formation energy from the elements ... -1.299 eV/atom
# E (MP2020) ... -6.1121 eV per atom
# Polymorph energy (0 for the lowest one) ... 0.000 eV per atom



No. 11
# Mg14FeCuO16 (PBE+U, optimized geometry)
data_Mg14FeCuO16
_chemical_formula_sum 'Mg14 Fe1 Cu1 O16'
_space_group_name_H-M_alt 'P 4/m m m'
_space_group_IT_number 123
_space_group_name_Hall '-P 4 2'
_cell_length_a 8.5704
_cell_length_b 8.5704
_cell_length_c 4.2481
_cell_angle_alpha 90.00
_cell_angle_beta 90.00
_cell_angle_gamma 90.00
loop_
_atom_site_label
_atom_site_type_symbol
_atom_site_fract_x
_atom_site_fract_y
_atom_site_fract_z
Mg1 Mg 0.0000 0.2472 0.0000
Mg2 Mg 0.0000 0.5000 0.5000
Mg3 Mg 0.2454 0.2454 0.5000
Mg4 Mg 0.2466 0.5000 0.0000
Fe1 Fe 0.5000 0.5000 0.5000
Cu1 Cu 0.0000 0.0000 0.5000
O1 O 0.0000 0.0000 0.0000
O2 O 0.0000 0.2628 0.5000
O3 O 0.0000 0.5000 0.0000
O4 O 0.2506 0.2506 0.0000
O5 O 0.2553 0.5000 0.5000
O6 O 0.5000 0.5000 0.0000
# Formation energy from the elements ... -2.789 eV/atom
# E (MP2020) ... -6.3561 eV per atom
# Polymorph energy (0 for the lowest one) ... 0.013 eV per atom



No. 12
# MgFe4Cu3O12 (PBE+U, optimized geometry)
data_MgFe4Cu3O12
_chemical_formula_sum 'Mg3 Fe12 Cu9 O36'
_space_group_name_H-M_alt 'R -3'
_space_group_IT_number 148
_space_group_name_Hall '-R 3'
_cell_length_a 10.4801
_cell_length_b 10.4801
_cell_length_c 6.3888
_cell_angle_alpha 90.00
_cell_angle_beta 90.00
_cell_angle_gamma 120.00
loop_
_atom_site_label
_atom_site_type_symbol
_atom_site_fract_x
_atom_site_fract_y
_atom_site_fract_z
Mg1 Mg 0.0000 0.0000 0.0000
Fe1 Fe 0.0000 0.0000 0.5000
Fe2 Fe 0.0000 0.5000 0.5000
Cu1 Cu 0.0000 0.5000 0.0000
O1 O 0.0082 0.8487 0.6837
O2 O 0.0482 0.7852 0.0946
# Formation energy from the elements ... -1.400 eV/atom
# E (MP2020) ... -6.7581 eV per atom



No. 13
# Mg14FeCuO16 (PBE+U, optimized geometry)
data_Mg14FeCuO16
_chemical_formula_sum 'Mg14 Fe1 Cu1 O16'
_space_group_name_H-M_alt 'P m m m'
_space_group_IT_number 47
_space_group_name_Hall '-P 2 2'
_cell_length_a 4.2400
_cell_length_b 8.5386
_cell_length_c 8.5666
_cell_angle_alpha 90.00
_cell_angle_beta 90.00
_cell_angle_gamma 90.00
loop_
_atom_site_label
_atom_site_type_symbol
_atom_site_fract_x
_atom_site_fract_y
_atom_site_fract_z
Mg1 Mg 0.0000 0.0000 0.0000
Mg2 Mg 0.0000 0.0000 0.5000
Mg3 Mg 0.0000 0.2499 0.2483
Mg4 Mg 0.5000 0.0000 0.2495
Mg5 Mg 0.5000 0.2493 0.5000
Mg6 Mg 0.5000 0.2512 0.0000
Mg7 Mg 0.5000 0.5000 0.2474
Fe1 Fe 0.0000 0.5000 0.5000
Cu1 Cu 0.0000 0.5000 0.0000
O1 O 0.0000 0.0000 0.2500
O2 O 0.0000 0.2453 0.0000
O3 O 0.0000 0.2452 0.5000
O4 O 0.0000 0.5000 0.2607
O5 O 0.5000 0.0000 0.0000
O6 O 0.5000 0.0000 0.5000
O7 O 0.5000 0.2512 0.2497
O8 O 0.5000 0.5000 0.0000
O9 O 0.5000 0.5000 0.5000
# Formation energy from the elements ... -2.802 eV/atom
# E (MP2020) ... -6.3693 eV per atom
# Polymorph energy (0 for the lowest one) ... 0.000 eV per atom